# Dy2Ge2O7 GGA-PBE optimized geometry
# Energy of formation   -3.055 eV per atom
# Calculated total energy   -7.445 eV per atom
data_Dy2Ge2O7
_symmetry_space_group_name_H-M 'C 1 2 1'
_symmetry_Int_Tables_number 5
_cell_length_a 7.041
_cell_length_b 9.224
_cell_length_c 5.013
_cell_angle_alpha 90.00
_cell_angle_beta 102.30
_cell_angle_gamma 90.00
loop_
_symmetry_equiv_pos_as_xyz
'x,y,z'
'-x,y,-z'
'x+1/2,y+1/2,z'
'-x+1/2,y+1/2,-z'
loop_
_atom_site_label
_atom_site_type_symbol
_atom_site_fract_x
_atom_site_fract_y
_atom_site_fract_z
Dy1 Dy 0.000 0.000 0.000
Dy2 Dy 0.000 0.387 0.000
Ge1 Ge 0.229 0.692 0.409
O1 O 0.000 0.682 0.500
O2 O 0.101 0.194 0.276
O3 O 0.238 0.851 0.212
O4 O 0.242 0.534 0.212



# Dy2Ge2O7 GGA-PBE optimized geometry
# Energy of formation   -3.061 eV per atom
# Calculated total energy   -7.451 eV per atom
data_Dy2Ge2O7
_symmetry_space_group_name_H-M 'P 41 21 2'
_symmetry_Int_Tables_number 92
_cell_length_a 6.871
_cell_length_b 6.871
_cell_length_c 12.518
_cell_angle_alpha 90.00
_cell_angle_beta 90.00
_cell_angle_gamma 90.00
loop_
_symmetry_equiv_pos_as_xyz
'x,y,z'
'-y+1/2,x+1/2,z+1/4'
'-x,-y,z+1/2'
'y+1/2,-x+1/2,z+3/4'
'x+1/2,-y+1/2,-z+3/4'
'-y,-x,-z+1/2'
'-x+1/2,y+1/2,-z+1/4'
'y,x,-z'
loop_
_atom_site_label
_atom_site_type_symbol
_atom_site_fract_x
_atom_site_fract_y
_atom_site_fract_z
Dy1 Dy 0.125 0.353 0.115
Ge1 Ge 0.099 0.152 0.631
O1 O 0.032 0.079 0.873
O2 O 0.064 0.662 0.179
O3 O 0.144 0.316 0.295
O4 O 0.197 0.197 0.500



no.,ΔE to the lowest computed polymorph (eV/atom),volume (Å³/f.u.)
1,0.006,159.1
2,0.000,147.8